# 1
Li5Co5Ni2O12 | PBE with a Hubbard U | relaxed

a = 5.0043 Å, b = 5.0086 Å, c = 9.6153 Å
α = 94.73°, β = 94.86°, γ = 119.31°
Closest atoms and distances in Å follow each position.
Space group P1 (No. 1)
Unique sites:
Li  0.0000  0.0000  0.0000 (multiplicity 1)  6 O 2.03-2.12
Li  0.0682  0.4084  0.2438 (multiplicity 1)  5 O 1.98-2.21
Li  0.2444  0.2561  0.7498 (multiplicity 1)  6 O 2.02-2.19
Li  0.5890  0.9296  0.7504 (multiplicity 1)  5 O 1.98-2.16
Li  0.7409  0.7537  0.2440 (multiplicity 1)  6 O 2.03-2.23
Co  0.3344  0.6658  0.9961 (multiplicity 1)  6 O 1.92-2.03
Co  0.3962  0.0796  0.2427 (multiplicity 1)  6 O 1.98-2.15
Co  0.4912  0.5086  0.4994 (multiplicity 1)  6 O 1.94-2.00
Co  0.8258  0.1740  0.4991 (multiplicity 1)  6 O 1.94-2.00
Co  0.9151  0.6011  0.7559 (multiplicity 1)  6 O 1.91-2.13
Ni  0.1578  0.8400  0.4969 (multiplicity 1)  6 O 2.04-2.14
Ni  0.6716  0.3362  0.9988 (multiplicity 1)  5 O 1.91-2.09
O  0.0690  0.7045  0.1189 (multiplicity 1)  2 Co 1.92-1.98, 2 Li 1.98-2.08, 1 Ni 2.09
O  0.1274  0.1589  0.3869 (multiplicity 1)  3 Co 1.95-2.15, 1 Li 2.03, 1 Ni 2.04
O  0.1809  0.5248  0.6133 (multiplicity 1)  3 Co 1.94-2.13, 1 Ni 2.05, 1 Li 2.07
O  0.2824  0.9230  0.8697 (multiplicity 1)  2 Co 1.91-1.93, 2 Li 1.98-2.11
O  0.3967  0.3864  0.1102 (multiplicity 1)  1 Ni 1.91, 2 Co 1.97-2.07, 2 Li 2.03-2.09
O  0.4765  0.8117  0.3870 (multiplicity 1)  3 Co 1.94-2.15, 1 Ni 2.04, 1 Li 2.08
O  0.5557  0.2386  0.6150 (multiplicity 1)  3 Co 1.94-2.09, 2 Li 2.14-2.16, 1 Ni 2.14
O  0.6197  0.6040  0.8757 (multiplicity 1)  2 Co 1.95-2.03, 1 Ni 1.95, 3 Li 2.02-2.16
O  0.6795  0.0299  0.1060 (multiplicity 1)  2 Co 1.93-2.10, 1 Ni 1.93, 2 Li 2.03-2.10
O  0.7612  0.4450  0.3851 (multiplicity 1)  3 Co 1.94-2.11, 1 Ni 2.11
O  0.8449  0.8678  0.6144 (multiplicity 1)  3 Co 1.95-2.11, 1 Li 2.01, 1 Ni 2.06
O  0.9629  0.3185  0.8832 (multiplicity 1)  1 Ni 1.94, 2 Co 1.96-2.03, 3 Li 2.10-2.13

Properties
Energy relative to the elements, eV/atom: -1.4062
M_tot, Bohr magnetons per cell: 0.0
Calculated density, g/cm³: 5.117
E above lowest polymorph, eV/atom: 0.150


# 2
FePO4F | PBE with a Hubbard U | relaxed

a = 5.3593 Å, b = 5.3636 Å, c = 7.4287 Å
α = 107.40°, β = 109.84°, γ = 96.18°
Closest atoms and distances in Å follow each position.
Space group P-1 (No. 2)
Unique sites:
Fe  0.0000  0.0000  0.0000 (multiplicity 1)  2 F 1.98, 4 O 1.98-2.00
Fe  0.5000  0.5000  0.5000 (multiplicity 1)  2 F 1.98, 4 O 1.98-2.00
P  0.1102  0.4310  0.7619 (multiplicity 2)  4 O 1.54
O  0.1523  0.2646  0.9019 (multiplicity 2)  1 P 1.54
O  0.1878  0.6568  0.3955 (multiplicity 2)  1 P 1.54
O  0.1895  0.7343  0.8900 (multiplicity 2)  1 P 1.54
O  0.3073  0.3679  0.6530 (multiplicity 2)  1 P 1.54
F  0.3191  0.1587  0.2641 (multiplicity 2)  2 Fe 1.98

Properties
Energy relative to the elements, eV/atom: -2.1869
M_tot, Bohr magnetons per cell: 8.0
Calculated density, g/cm³: 3.026
E above lowest polymorph, eV/atom: 0.000


# 3
La5Sm3Cr7FeO20 | PBE with a Hubbard U | relaxed

a = 11.0772 Å, b = 11.4997 Å, c = 17.6442 Å
α = 108.66°, β = 107.82°, γ = 90.84°
Closest atoms and distances in Å follow each position.
Space group P1 (No. 1)
Unique sites:
La  0.0000  0.0000  0.0000 (multiplicity 1)  3 O 2.29-2.53
La  0.0011  0.5009  0.0001 (multiplicity 1)  2 O 2.27-2.36
La  0.1100  0.6031  0.2303 (multiplicity 1)  4 O 2.31-2.48
La  0.1149  0.1039  0.2318 (multiplicity 1)  4 O 2.32-2.55
La  0.2461  0.2413  0.0002 (multiplicity 1)  3 O 2.29-2.55
La  0.2473  0.7428  0.5087 (multiplicity 1)  4 O 2.30-2.51
La  0.2481  0.2410  0.5052 (multiplicity 1)  4 O 2.31-2.52
La  0.2486  0.7354  0.0004 (multiplicity 1)  4 O 2.33-2.56
La  0.3679  0.8707  0.2336 (multiplicity 1)  4 O 2.35-2.54
La  0.3717  0.3623  0.2356 (multiplicity 1)  4 O 2.34-2.51
La  0.4994  0.4966  0.9988 (multiplicity 1)  4 O 2.30-2.58
La  0.5006  0.9975  0.9977 (multiplicity 1)  4 O 2.33-2.58
La  0.5071  0.9986  0.5017 (multiplicity 1)  4 O 2.31-2.55
La  0.6176  0.1090  0.2372 (multiplicity 1)  4 O 2.30-2.55
La  0.6212  0.6078  0.2386 (multiplicity 1)  5 O 2.36-2.64
La  0.7500  0.2405  0.9969 (multiplicity 1)  3 O 2.29-2.56
La  0.7507  0.2415  0.4987 (multiplicity 1)  4 O 2.29-2.53
La  0.7510  0.7390  0.9977 (multiplicity 1)  3 O 2.30-2.56
La  0.8641  0.8701  0.2359 (multiplicity 1)  4 O 2.31-2.55
La  0.8726  0.3675  0.7399 (multiplicity 1)  2 O 2.27-2.36
Sm  0.0014  0.5018  0.5024 (multiplicity 1)  5 O 2.23-2.47
Sm  0.1265  0.1090  0.7336 (multiplicity 1)  5 O 2.22-2.48
Sm  0.1277  0.6053  0.7328 (multiplicity 1)  5 O 2.25-2.50
Sm  0.3739  0.3679  0.7360 (multiplicity 1)  5 O 2.23-2.48
Sm  0.3798  0.8677  0.7351 (multiplicity 1)  5 O 2.24-2.50
Sm  0.5093  0.5005  0.5060 (multiplicity 1)  4 O 2.25-2.43
Sm  0.6186  0.1058  0.7344 (multiplicity 1)  4 O 2.22-2.48
Sm  0.6200  0.6063  0.7346 (multiplicity 1)  4 O 2.23-2.48
Sm  0.7576  0.7397  0.5022 (multiplicity 1)  5 O 2.25-2.50
Sm  0.8630  0.3670  0.2327 (multiplicity 1)  4 O 2.25-2.44
Sm  0.8654  0.8661  0.7322 (multiplicity 1)  4 O 2.22-2.46
Sm  0.9991  0.0052  0.5060 (multiplicity 1)  4 O 2.23-2.47
Cr  0.0534  0.3069  0.6199 (multiplicity 1)  6 O 1.98-2.08
Cr  0.0530  0.8080  0.6227 (multiplicity 1)  6 O 1.98-2.07
Cr  0.0537  0.3060  0.1219 (multiplicity 1)  6 O 1.98-2.10
Cr  0.0545  0.8040  0.1200 (multiplicity 1)  6 O 2.02-2.17
Cr  0.1906  0.4219  0.8671 (multiplicity 1)  4 O 2.08-2.29
Cr  0.3029  0.0534  0.6178 (multiplicity 1)  6 O 2.04-2.16
Cr  0.3030  0.5520  0.6167 (multiplicity 1)  6 O 2.03-2.18
Cr  0.3042  0.0517  0.1152 (multiplicity 1)  6 O 2.02-2.21
Cr  0.3089  0.5538  0.1229 (multiplicity 1)  6 O 1.99-2.10
Cr  0.4346  0.1848  0.3725 (multiplicity 1)  2 O 2.02-2.03
Cr  0.4365  0.1781  0.8675 (multiplicity 1)  3 O 2.05-2.26
Cr  0.4372  0.6798  0.8674 (multiplicity 1)  2 O 2.05-2.06
Cr  0.5549  0.7999  0.6161 (multiplicity 1)  6 O 1.99-2.09
Cr  0.5560  0.3030  0.1183 (multiplicity 1)  6 O 2.00-2.04
Cr  0.5555  0.3033  0.6190 (multiplicity 1)  6 O 2.00-2.07
Cr  0.5556  0.8013  0.1174 (multiplicity 1)  6 O 1.99-2.06
Cr  0.6868  0.4245  0.8671 (multiplicity 1)  4 O 2.07-2.30
Cr  0.6933  0.4316  0.3706 (multiplicity 1)  3 O 2.05-2.23
Cr  0.6929  0.9260  0.3702 (multiplicity 1)  3 O 2.06-2.28
Cr  0.6936  0.9246  0.8665 (multiplicity 1)  3 O 2.08-2.23
Cr  0.8028  0.0562  0.1185 (multiplicity 1)  6 O 1.97-2.05
Cr  0.8035  0.5540  0.1192 (multiplicity 1)  6 O 2.00-2.05
Cr  0.8047  0.0526  0.6199 (multiplicity 1)  6 O 2.01-2.04
Cr  0.8055  0.5549  0.6203 (multiplicity 1)  6 O 2.01-2.05
Cr  0.9380  0.1766  0.8669 (multiplicity 1)  4 O 2.07-2.30
Cr  0.9402  0.6819  0.8651 (multiplicity 1)  3 O 2.06-2.25
Cr  0.9408  0.1866  0.3697 (multiplicity 1)  4 O 2.07-2.30
Cr  0.9432  0.6845  0.3711 (multiplicity 1)  3 O 2.08-2.27
Fe  0.1903  0.4112  0.3698 (multiplicity 1)  4 O 1.98-2.12
Fe  0.1898  0.9087  0.8619 (multiplicity 1)  4 O 1.99-2.12
Fe  0.1932  0.9076  0.3701 (multiplicity 1)  4 O 1.97-2.13
Fe  0.4444  0.6945  0.3714 (multiplicity 1)  4 O 1.99-2.11
O  0.0942  0.9178  0.7482 (multiplicity 1)  1 Fe 2.00, 1 Cr 2.07
O  0.1000  0.4143  0.7433 (multiplicity 1)  2 Cr 2.03-2.08
O  0.1011  0.4066  0.2514 (multiplicity 1)  1 Fe 2.00, 1 Cr 2.10
O  0.1119  0.9095  0.2544 (multiplicity 1)  1 Fe 1.97, 1 Cr 2.17
O  0.1378  0.2265  0.8636 (multiplicity 1)  1 Sm 2.22, 1 La 2.29, 2 Cr 2.29-2.30
O  0.1423  0.2346  0.3684 (multiplicity 1)  1 Fe 2.08, 1 Cr 2.30, 2 La 2.31-2.32
O  0.1448  0.7334  0.8633 (multiplicity 1)  1 Fe 2.08, 1 Sm 2.25
O  0.1512  0.7274  0.3699 (multiplicity 1)  1 Fe 2.12, 2 La 2.30-2.31, 1 Cr 2.36
O  0.1595  0.9189  0.5935 (multiplicity 1)  2 Cr 2.01-2.05
O  0.1615  0.4171  0.5917 (multiplicity 1)  2 Cr 2.00-2.03
O  0.1711  0.9146  0.0967 (multiplicity 1)  2 Cr 2.02
O  0.1733  0.4197  0.1043 (multiplicity 1)  2 Cr 2.00-2.01
O  0.1887  0.1975  0.1405 (multiplicity 1)  2 Cr 1.98-2.14
O  0.1942  0.2067  0.6443 (multiplicity 1)  2 Cr 1.98-2.16
O  0.1952  0.7086  0.6456 (multiplicity 1)  2 Cr 1.98-2.18
O  0.1976  0.6871  0.1422 (multiplicity 1)  2 Cr 1.99-2.12
O  0.2111  0.5284  0.4843 (multiplicity 1)  1 Fe 1.98, 1 Cr 2.17
O  0.2153  0.0253  0.4846 (multiplicity 1)  1 Fe 1.98, 1 Cr 2.16
O  0.2199  0.0257  0.9789 (multiplicity 1)  1 Fe 1.99, 1 Cr 2.21
O  0.2364  0.5261  0.9955 (multiplicity 1)  2 Cr 2.06-2.09
O  0.3454  0.0679  0.7446 (multiplicity 1)  2 Cr 2.05-2.09
O  0.3469  0.5694  0.7439 (multiplicity 1)  2 Cr 2.05-2.09
O  0.3589  0.0809  0.2484 (multiplicity 1)  2 Cr 2.02-2.15
O  0.3674  0.5780  0.2526 (multiplicity 1)  1 Fe 2.00, 1 Cr 2.10
O  0.3768  0.8705  0.8621 (multiplicity 1)  1 Fe 2.12, 1 Sm 2.24, 1 Cr 2.32, 1 La 2.33
O  0.3785  0.8623  0.3686 (multiplicity 1)  2 Fe 2.08-2.13
O  0.3815  0.3881  0.3745 (multiplicity 1)  1 Fe 2.12, 1 Sm 2.25, 1 La 2.34
O  0.3865  0.3671  0.8641 (multiplicity 1)  1 Sm 2.23, 2 Cr 2.26-2.28, 1 La 2.30
O  0.4223  0.9112  0.0947 (multiplicity 1)  2 Cr 1.99-2.11
O  0.4234  0.4134  0.5903 (multiplicity 1)  2 Cr 2.00-2.12
O  0.4227  0.4172  0.0993 (multiplicity 1)  2 Cr 2.01-2.05
O  0.4233  0.9127  0.5949 (multiplicity 1)  2 Cr 1.99-2.13
O  0.4440  0.1876  0.1399 (multiplicity 1)  2 Cr 2.00-2.03
O  0.4464  0.1893  0.6459 (multiplicity 1)  2 Cr 2.03-2.04
O  0.4456  0.6876  0.1437 (multiplicity 1)  2 Cr 2.01-2.02
O  0.4472  0.6850  0.6417 (multiplicity 1)  2 Cr 2.01-2.04
O  0.4788  0.6910  0.4884 (multiplicity 1)  1 Fe 1.99, 1 Cr 2.09
O  0.4870  0.6977  0.9935 (multiplicity 1)  2 Cr 2.02-2.06
O  0.4883  0.1958  0.4958 (multiplicity 1)  2 Cr 2.02-2.03
O  0.4878  0.2009  0.9943 (multiplicity 1)  2 Cr 2.01-2.06
O  0.5966  0.4131  0.7428 (multiplicity 1)  2 Cr 2.05-2.07, 1 Sm 2.29
O  0.5997  0.9088  0.7412 (multiplicity 1)  2 Cr 2.06-2.08
O  0.6116  0.9055  0.2442 (multiplicity 1)  2 Cr 2.06
O  0.6127  0.4054  0.2443 (multiplicity 1)  2 Cr 2.04-2.05
O  0.6319  0.2449  0.3685 (multiplicity 1)  2 Cr 2.23-2.31, 2 La 2.29-2.30
O  0.6322  0.7390  0.3748 (multiplicity 1)  1 Fe 2.11, 1 Sm 2.25, 1 Cr 2.28, 1 La 2.36
O  0.6339  0.2319  0.8628 (multiplicity 1)  1 Sm 2.22, 2 Cr 2.25-2.30, 1 La 2.29
O  0.6382  0.7355  0.8635 (multiplicity 1)  1 Sm 2.23, 2 Cr 2.23-2.33, 1 La 2.30
O  0.6686  0.4145  0.5924 (multiplicity 1)  2 Cr 2.03
O  0.6699  0.9139  0.0940 (multiplicity 1)  2 Cr 2.02-2.03
O  0.6716  0.4142  0.0960 (multiplicity 1)  2 Cr 2.00-2.01
O  0.6719  0.9059  0.5901 (multiplicity 1)  2 Cr 2.01-2.04
O  0.6938  0.1897  0.6446 (multiplicity 1)  2 Cr 2.03-2.07
O  0.6943  0.1975  0.1442 (multiplicity 1)  2 Cr 2.00-2.05
O  0.6936  0.6903  0.1429 (multiplicity 1)  2 Cr 2.01-2.04
O  0.6958  0.6928  0.6439 (multiplicity 1)  2 Cr 2.03-2.04
O  0.7277  0.5379  0.4952 (multiplicity 1)  2 Cr 2.05
O  0.7317  0.0333  0.9926 (multiplicity 1)  2 Cr 2.04-2.08
O  0.7345  0.5315  0.9944 (multiplicity 1)  2 Cr 2.02-2.08
O  0.7369  0.0347  0.4954 (multiplicity 1)  2 Cr 2.03-2.06
O  0.8414  0.0684  0.7425 (multiplicity 1)  2 Cr 2.02-2.07
O  0.8430  0.5713  0.7424 (multiplicity 1)  2 Cr 2.01-2.06
O  0.8556  0.0782  0.2442 (multiplicity 1)  2 Cr 2.04-2.07
O  0.8584  0.5733  0.2449 (multiplicity 1)  2 Cr 2.05-2.08
O  0.8857  0.3661  0.8703 (multiplicity 1)  2 Cr 2.25-2.30, 2 La 2.27
O  0.8981  0.8718  0.8637 (multiplicity 1)  1 Sm 2.22, 2 Cr 2.25-2.37, 1 La 2.29
O  0.8999  0.8783  0.3739 (multiplicity 1)  1 Sm 2.23, 2 Cr 2.27-2.35, 1 La 2.31
O  0.9011  0.3814  0.3686 (multiplicity 1)  2 Sm 2.23-2.25, 2 Cr 2.29-2.39
O  0.9151  0.9184  0.5936 (multiplicity 1)  2 Cr 2.01-2.05
O  0.9184  0.4237  0.5919 (multiplicity 1)  2 Cr 2.01-2.08
O  0.9199  0.9304  0.1001 (multiplicity 1)  2 Cr 1.97-2.13
O  0.9217  0.4244  0.1005 (multiplicity 1)  2 Cr 2.01-2.05
O  0.9393  0.1945  0.1445 (multiplicity 1)  2 Cr 2.00-2.02
O  0.9413  0.6878  0.1433 (multiplicity 1)  2 Cr 2.00-2.04
O  0.9476  0.6901  0.6496 (multiplicity 1)  2 Cr 2.02-2.03
O  0.9498  0.1827  0.6458 (multiplicity 1)  2 Cr 2.02-2.06
O  0.9761  0.6982  0.4972 (multiplicity 1)  2 Cr 2.06-2.09, 1 Sm 2.31
O  0.9821  0.7006  0.9907 (multiplicity 1)  2 Cr 2.06-2.09
O  0.9839  0.1985  0.4951 (multiplicity 1)  2 Cr 2.04-2.07
O  0.9874  0.2058  0.9959 (multiplicity 1)  2 Cr 2.03-2.08

Properties
Energy relative to the elements, eV/atom: -2.8258
M_tot, Bohr magnetons per cell: 128.0
Calculated density, g/cm³: 6.226


# 4
MnNbP2O8 | PBE with a Hubbard U | relaxed

a = 6.1400 Å, b = 10.1182 Å, c = 10.1976 Å
α = 87.48°, β = 90.00°, γ = 89.99°
Closest atoms and distances in Å follow each position.
Space group P1 (No. 1)
Unique sites:
Mn  0.0000  0.0000  0.0000 (multiplicity 1)  4 O 2.05-2.22
Mn  0.0010  0.4994  0.9995 (multiplicity 1)  4 O 2.06-2.23
Mn  0.4999  0.4409  0.4441 (multiplicity 1)  4 O 2.06-2.22
Mn  0.5009  0.9408  0.4439 (multiplicity 1)  4 O 2.06-2.23
Nb  0.0004  0.1890  0.5054 (multiplicity 1)  6 O 2.05-2.17
Nb  0.0006  0.6883  0.5060 (multiplicity 1)  6 O 2.06-2.18
Nb  0.5004  0.2518  0.9383 (multiplicity 1)  6 O 2.05-2.17
Nb  0.5006  0.7524  0.9379 (multiplicity 1)  6 O 2.06-2.18
P  0.0004  0.2644  0.8109 (multiplicity 1)  4 O 1.51-1.59
P  0.0000  0.4112  0.3229 (multiplicity 1)  4 O 1.50-1.59
P  0.0002  0.9105  0.3230 (multiplicity 1)  4 O 1.50-1.59
P  0.0006  0.7645  0.8110 (multiplicity 1)  4 O 1.51-1.59
P  0.5001  0.0297  0.1209 (multiplicity 1)  4 O 1.50-1.59
P  0.5003  0.1763  0.6329 (multiplicity 1)  4 O 1.51-1.59
P  0.5002  0.5302  0.1208 (multiplicity 1)  4 O 1.50-1.59
P  0.5006  0.6763  0.6330 (multiplicity 1)  4 O 1.51-1.59
O  0.0002  0.0578  0.3575 (multiplicity 1)  1 P 1.55
O  0.0004  0.1154  0.8269 (multiplicity 1)  1 P 1.51
O  0.0003  0.3125  0.6650 (multiplicity 1)  1 P 1.54
O  0.0002  0.3948  0.1770 (multiplicity 1)  1 P 1.50
O  0.9999  0.5587  0.3564 (multiplicity 1)  1 P 1.55
O  0.0005  0.6155  0.8270 (multiplicity 1)  1 P 1.51
O  0.0003  0.8125  0.6651 (multiplicity 1)  1 P 1.54
O  0.0004  0.8951  0.1771 (multiplicity 1)  1 P 1.50
O  0.1941  0.3360  0.3969 (multiplicity 1)  1 P 1.59
O  0.1943  0.8350  0.3966 (multiplicity 1)  1 P 1.59
O  0.2015  0.3285  0.8832 (multiplicity 1)  1 P 1.59
O  0.2020  0.8285  0.8830 (multiplicity 1)  1 P 1.59
O  0.2993  0.1123  0.5604 (multiplicity 1)  1 P 1.59
O  0.2997  0.6121  0.5605 (multiplicity 1)  1 P 1.59
O  0.3060  0.1049  0.0471 (multiplicity 1)  1 P 1.59
O  0.3060  0.6056  0.0474 (multiplicity 1)  1 P 1.59
O  0.5003  0.0460  0.2668 (multiplicity 1)  1 P 1.50
O  0.5003  0.1282  0.7788 (multiplicity 1)  1 P 1.54
O  0.5003  0.3253  0.6169 (multiplicity 1)  1 P 1.51
O  0.5002  0.3830  0.0863 (multiplicity 1)  1 P 1.55
O  0.5005  0.5456  0.2667 (multiplicity 1)  1 P 1.50
O  0.5002  0.6283  0.7788 (multiplicity 1)  1 P 1.54
O  0.5003  0.8252  0.6169 (multiplicity 1)  1 P 1.51
O  0.4999  0.8822  0.0875 (multiplicity 1)  1 P 1.55
O  0.6942  0.1048  0.0470 (multiplicity 1)  1 P 1.59
O  0.6944  0.6056  0.0472 (multiplicity 1)  1 P 1.59
O  0.7016  0.1124  0.5605 (multiplicity 1)  1 P 1.59
O  0.7021  0.6122  0.5609 (multiplicity 1)  1 P 1.59
O  0.7994  0.3284  0.8834 (multiplicity 1)  1 P 1.59
O  0.7996  0.8287  0.8834 (multiplicity 1)  1 P 1.59
O  0.8060  0.3360  0.3968 (multiplicity 1)  1 P 1.59
O  0.8060  0.8351  0.3964 (multiplicity 1)  1 P 1.59

Properties
Energy relative to the elements, eV/atom: -2.6456
M_tot, Bohr magnetons per cell: 4.0
Calculated density, g/cm³: 3.545